A relaxed structure of CoH6C2O6, computed with GGA+U.

a b c (Å): 5.5333 9.8524 15.3264
angles (deg): 105.46 90.00 90.00
With the nearest neighbours (Å) after each atom.
Sites, in units of the cell vectors:
Co (0.6207, 0.0410, 0.1793)  6 O 2.05-2.16
Co (0.1207, 0.9590, 0.3207)  6 O 2.05-2.16
Co (0.3793, 0.9590, 0.8207)  6 O 2.05-2.16
Co (0.8793, 0.0410, 0.6793)  6 O 2.05-2.16
Co (0.5000, 0.5000, 0.5000)  4 O 2.04
Co (0.0000, 0.5000, 0.0000)  4 O 2.04
H (0.7455, 0.1750, 0.0559)  1 O 0.99
H (0.2455, 0.8250, 0.4441)  1 O 0.99
H (0.2545, 0.8250, 0.9441)  1 O 0.99
H (0.7545, 0.1750, 0.5559)  1 O 0.99
H (0.7292, 0.0140, 0.9974)  1 O 0.98
H (0.2292, 0.9860, 0.5026)  1 O 0.98
H (0.2708, 0.9860, 0.0026)  1 O 0.98
H (0.7708, 0.0140, 0.4974)  1 O 0.98
H (0.1452, 0.0529, 0.1589)  1 O 1.01
H (0.6452, 0.9471, 0.3411)  1 O 1.01
H (0.8548, 0.9471, 0.8411)  1 O 1.01
H (0.3548, 0.0529, 0.6589)  1 O 1.01
H (0.2522, 0.2038, 0.1611)  1 O 0.99
H (0.7522, 0.7962, 0.3389)  1 O 0.99
H (0.7478, 0.7962, 0.8389)  1 O 0.99
H (0.2478, 0.2038, 0.6611)  1 O 0.99
H (0.5986, 0.1786, 0.4227)  1 C 1.11
H (0.0986, 0.8214, 0.0773)  1 C 1.11
H (0.4014, 0.8214, 0.5773)  1 C 1.11
H (0.9014, 0.1786, 0.9227)  1 C 1.11
H (0.0697, 0.6264, 0.4719)  1 O 1.00
H (0.5697, 0.3736, 0.0281)  1 O 1.00
H (0.9303, 0.3736, 0.5281)  1 O 1.00
H (0.4303, 0.6264, 0.9719)  1 O 1.00
H (0.2055, 0.5613, 0.3800)  1 O 0.98
H (0.7055, 0.4387, 0.1200)  1 O 0.98
H (0.7945, 0.4387, 0.6200)  1 O 0.98
H (0.2945, 0.5613, 0.8800)  1 O 0.98
H (0.1419, 0.4569, 0.2030)  1 O 0.99
H (0.6419, 0.5431, 0.2970)  1 O 0.99
H (0.8581, 0.5431, 0.7970)  1 O 0.99
H (0.3581, 0.4569, 0.7030)  1 O 0.99
H (0.9882, 0.3586, 0.2476)  1 O 0.99
H (0.4882, 0.6414, 0.2524)  1 O 0.99
H (0.0118, 0.6414, 0.7524)  1 O 0.99
H (0.5118, 0.3586, 0.7476)  1 O 0.99
C (0.4774, 0.1847, 0.3662)  1 H 1.11
C (0.9774, 0.8153, 0.1338)  1 H 1.11
C (0.5226, 0.8153, 0.6338)  1 H 1.11
C (0.0226, 0.1847, 0.8662)  1 H 1.11
C (0.6065, 0.2923, 0.3252)  2 O 1.27-1.28
C (0.1065, 0.7077, 0.1748)  2 O 1.27-1.28
C (0.3935, 0.7077, 0.6748)  2 O 1.27-1.28
C (0.8935, 0.2923, 0.8252)  2 O 1.27-1.28
C (0.2351, 0.2388, 0.4129)  2 O 1.26-1.28
C (0.7351, 0.7612, 0.0871)  2 O 1.26-1.28
C (0.7649, 0.7612, 0.5871)  2 O 1.26-1.28
C (0.2649, 0.2388, 0.9129)  2 O 1.26-1.28
O (0.7645, 0.0763, 0.0578)  2 H 0.98-0.99
O (0.2645, 0.9237, 0.4422)  2 H 0.98-0.99
O (0.2355, 0.9237, 0.9422)  2 H 0.98-0.99
O (0.7355, 0.0763, 0.5578)  2 H 0.98-0.99
O (0.2781, 0.1020, 0.1336)  2 H 0.99-1.01
O (0.7781, 0.8980, 0.3664)  2 H 0.99-1.01
O (0.7219, 0.8980, 0.8664)  2 H 0.99-1.01
O (0.2219, 0.1020, 0.6336)  2 H 0.99-1.01
O (0.4549, 0.0516, 0.3038)  1 C 1.41
O (0.9549, 0.9484, 0.1962)  1 C 1.41
O (0.5451, 0.9484, 0.6962)  1 C 1.41
O (0.0451, 0.0516, 0.8038)  1 C 1.41
O (0.7006, 0.2481, 0.2474)  1 C 1.27
O (0.2006, 0.7519, 0.2526)  1 C 1.27
O (0.2994, 0.7519, 0.7526)  1 C 1.27
O (0.7994, 0.2481, 0.7474)  1 C 1.27
O (0.6260, 0.4203, 0.3714)  1 C 1.28
O (0.1260, 0.5797, 0.1286)  1 C 1.28
O (0.3740, 0.5797, 0.6286)  1 C 1.28
O (0.8740, 0.4203, 0.8714)  1 C 1.28
O (0.0498, 0.1629, 0.3912)  1 C 1.26
O (0.5498, 0.8371, 0.1088)  1 C 1.26
O (0.9502, 0.8371, 0.6088)  1 C 1.26
O (0.4502, 0.1629, 0.8912)  1 C 1.26
O (0.2284, 0.3550, 0.4754)  1 C 1.28
O (0.7284, 0.6450, 0.0246)  1 C 1.28
O (0.7716, 0.6450, 0.5246)  1 C 1.28
O (0.2716, 0.3550, 0.9754)  1 C 1.28
O (0.2284, 0.6258, 0.4407)  2 H 0.98-1.00
O (0.7284, 0.3742, 0.0593)  2 H 0.98-1.00
O (0.7716, 0.3742, 0.5593)  2 H 0.98-1.00
O (0.2716, 0.6258, 0.9407)  2 H 0.98-1.00
O (0.1542, 0.3922, 0.2422)  2 H 0.99
O (0.6542, 0.6078, 0.2578)  2 H 0.99
O (0.8458, 0.6078, 0.7578)  2 H 0.99
O (0.3458, 0.3922, 0.7422)  2 H 0.99

Output
**Total magnetization**: 0.200 μB per atom
**Calculated formation energy**: -28.90 kcal/mol of atoms
**Energy relative to the lowest polymorph listed for this composition**: 0.00 eV/f.u.

=====

A relaxed structure of CoH6C2O6, computed with GGA+U.

a b c (Å): 7.2440 8.7623 9.3147
angles (deg): 82.75 90.00 90.00
With the nearest neighbours (Å) after each atom.
Sites, in units of the cell vectors:
Co (0.5000, 0.0000, 0.5000)  6 O 2.09-2.19
Co (0.0000, 0.0000, 0.0000)  6 O 2.09-2.19
Co (0.0000, 0.5000, 0.5000)  6 O 2.06-2.17
Co (0.5000, 0.5000, 0.0000)  6 O 2.06-2.17
H (0.4788, 0.3278, 0.6086)  1 C 1.11
H (0.9788, 0.6722, 0.8914)  1 C 1.11
H (0.5212, 0.6722, 0.3914)  1 C 1.11
H (0.0212, 0.3278, 0.1086)  1 C 1.11
H (0.7118, 0.0683, 0.2267)  1 C 1.10
H (0.2118, 0.9317, 0.2733)  1 C 1.10
H (0.2882, 0.9317, 0.7733)  1 C 1.10
H (0.7882, 0.0683, 0.7267)  1 C 1.10
H (0.1133, 0.2137, 0.4874)  1 O 0.99
H (0.6133, 0.7863, 0.0126)  1 O 0.99
H (0.8867, 0.7863, 0.5126)  1 O 0.99
H (0.3867, 0.2137, 0.9874)  1 O 0.99
H (0.8976, 0.2347, 0.4507)  1 O 1.00
H (0.3976, 0.7653, 0.0493)  1 O 1.00
H (0.1024, 0.7653, 0.5493)  1 O 1.00
H (0.6024, 0.2347, 0.9507)  1 O 1.00
H (0.9059, 0.6989, 0.2641)  1 O 0.99
H (0.4059, 0.3011, 0.2359)  1 O 0.99
H (0.0941, 0.3011, 0.7359)  1 O 0.99
H (0.5941, 0.6989, 0.7641)  1 O 0.99
H (0.8455, 0.5329, 0.2230)  1 O 1.00
H (0.3455, 0.4671, 0.2770)  1 O 1.00
H (0.1545, 0.4671, 0.7770)  1 O 1.00
H (0.6545, 0.5329, 0.7230)  1 O 1.00
C (0.3802, 0.6753, 0.4363)  1 H 1.11
C (0.8802, 0.3247, 0.0637)  1 H 1.11
C (0.6198, 0.3247, 0.5637)  1 H 1.11
C (0.1198, 0.6753, 0.9363)  1 H 1.11
C (0.7781, 0.9613, 0.2768)  1 H 1.10
C (0.2781, 0.0387, 0.2232)  1 H 1.10
C (0.2219, 0.0387, 0.7232)  1 H 1.10
C (0.7219, 0.9613, 0.7768)  1 H 1.10
O (0.7256, 0.4369, 0.5805)  1 C 1.27
O (0.2256, 0.5631, 0.9195)  1 C 1.27
O (0.2744, 0.5631, 0.4195)  1 C 1.27
O (0.7744, 0.4369, 0.0805)  1 C 1.27
O (0.3357, 0.7909, 0.4997)  1 C 1.28
O (0.8357, 0.2091, 0.0003)  1 C 1.28
O (0.6643, 0.2091, 0.5003)  1 C 1.28
O (0.1643, 0.7909, 0.9997)  1 C 1.28
O (0.7269, 0.9064, 0.4038)  1 C 1.27
O (0.2269, 0.0936, 0.0962)  1 C 1.27
O (0.2731, 0.0936, 0.5962)  1 C 1.27
O (0.7731, 0.9064, 0.9038)  1 C 1.27
O (0.9000, 0.8993, 0.2054)  1 C 1.27
O (0.4000, 0.1007, 0.2946)  1 C 1.27
O (0.1000, 0.1007, 0.7946)  1 C 1.27
O (0.6000, 0.8993, 0.7054)  1 C 1.27
O (0.0225, 0.2797, 0.4286)  2 H 0.99-1.00
O (0.5225, 0.7203, 0.0714)  2 H 0.99-1.00
O (0.9775, 0.7203, 0.5714)  2 H 0.99-1.00
O (0.4775, 0.2797, 0.9286)  2 H 0.99-1.00
O (0.8907, 0.5889, 0.3027)  2 H 0.99-1.00
O (0.3907, 0.4111, 0.1973)  2 H 0.99-1.00
O (0.1093, 0.4111, 0.6973)  2 H 0.99-1.00
O (0.6093, 0.5889, 0.8027)  2 H 0.99-1.00

Output
**Total magnetization**: 0.067 μB per atom
**Calculated formation energy**: -27.61 kcal/mol of atoms
**Energy relative to the lowest polymorph listed for this composition**: 0.84 eV/f.u.

=====

A relaxed structure of CoHCO3, computed with GGA+U.

a b c (Å): 7.3713 7.3713 7.3713
angles (deg): 95.53 95.53 95.53
With the nearest neighbours (Å) after each atom.
Sites, in units of the cell vectors:
Co (0.4767, 0.2141, 0.5647)  6 O 1.86-2.07
Co (0.5233, 0.7859, 0.4353)  6 O 1.86-2.07
Co (0.5647, 0.4767, 0.2141)  6 O 1.86-2.07
Co (0.2141, 0.5647, 0.4767)  6 O 1.86-2.07
Co (0.4353, 0.5233, 0.7859)  6 O 1.86-2.07
Co (0.7859, 0.4353, 0.5233)  6 O 1.86-2.07
H (0.0875, 0.0405, 0.3465)  1 C 1.10
H (0.9125, 0.9595, 0.6535)  1 C 1.10
H (0.0405, 0.3465, 0.0875)  1 C 1.10
H (0.6535, 0.9125, 0.9595)  1 C 1.10
H (0.3465, 0.0875, 0.0405)  1 C 1.10
H (0.9595, 0.6535, 0.9125)  1 C 1.10
C (0.9310, 0.3809, 0.1722)  1 H 1.10
C (0.0690, 0.6191, 0.8278)  1 H 1.10
C (0.6191, 0.8278, 0.0690)  1 H 1.10
C (0.3809, 0.1722, 0.9310)  1 H 1.10
C (0.8278, 0.0690, 0.6191)  1 H 1.10
C (0.1722, 0.9310, 0.3809)  1 H 1.10
O (0.6181, 0.9060, 0.2273)  1 C 1.25
O (0.7727, 0.3819, 0.0940)  1 C 1.25
O (0.4061, 0.7033, 0.6282)  3 Co 1.86-1.87
O (0.3718, 0.5939, 0.2967)  3 Co 1.86-1.87
O (0.0940, 0.7727, 0.3819)  1 C 1.25
O (0.9786, 0.4150, 0.3455)  1 C 1.29
O (0.3819, 0.0940, 0.7727)  1 C 1.25
O (0.5939, 0.2967, 0.3718)  3 Co 1.86-1.87
O (0.4150, 0.3455, 0.9786)  1 C 1.29
O (0.2273, 0.6181, 0.9060)  1 C 1.25
O (0.2967, 0.3718, 0.5939)  3 Co 1.86-1.87
O (0.6282, 0.4061, 0.7033)  3 Co 1.86-1.87
O (0.7033, 0.6282, 0.4061)  3 Co 1.86-1.87
O (0.9060, 0.2273, 0.6181)  1 C 1.25
O (0.3455, 0.9786, 0.4150)  1 C 1.29
O (0.6545, 0.0214, 0.5850)  1 C 1.29
O (0.5850, 0.6545, 0.0214)  1 C 1.29
O (0.0214, 0.5850, 0.6545)  1 C 1.29

Output
**Total magnetization**: 0.000 μB per atom
**Calculated formation energy**: -26.33 kcal/mol of atoms
**Energy relative to the lowest polymorph listed for this composition**: 0.00 eV/f.u.